Entry 1:
! PBE Mg2NbN3, optimized geometry; values from VASP
&SYSTEM
  ibrav = 0, nat = 12, ntyp = 3
/
ATOMIC_SPECIES
Mg 24.30 Mg.upf
Nb 92.91 Nb.upf
N 14.01 N.upf
ATOMIC_POSITIONS crystal
Mg 0.993 0.331 0.983
Mg 0.331 0.993 0.983
Mg 0.007 0.669 0.483
Mg 0.669 0.007 0.483
Nb 0.668 0.668 0.982
Nb 0.332 0.332 0.482
N 0.019 0.331 0.382
N 0.331 0.019 0.382
N 0.981 0.669 0.882
N 0.669 0.981 0.882
N 0.653 0.653 0.361
N 0.347 0.347 0.861
CELL_PARAMETERS angstrom
3.003 -5.099 0.000
3.003 5.099 0.000
0.000 0.000 5.305
! DFT formation energy: -1.14 eV/atom
! piezoelectric modulus e_max: 1.57 C/m²
! M_tot: 0.0 μB per cell
! distance to the lowest polymorph of the same formula: 3.0 kJ per mole of atoms

Entry 2:
! PBE MgNb4N4O4, optimized geometry; values from VASP
&SYSTEM
  ibrav = 0, nat = 13, ntyp = 4
/
ATOMIC_SPECIES
Mg 24.30 Mg.upf
Nb 92.91 Nb.upf
N 14.01 N.upf
O 16.00 O.upf
ATOMIC_POSITIONS crystal
Mg 0.449 0.104 0.635
Nb 0.122 0.759 0.723
Nb 0.197 0.608 0.319
Nb 0.786 0.429 0.656
Nb 0.889 0.224 0.266
N 0.057 0.888 0.358
N 0.282 0.437 0.655
N 0.736 0.531 0.335
N 0.949 0.105 0.652
O 0.619 0.765 0.701
O 0.161 0.680 0.007
O 0.848 0.306 0.986
O 0.384 0.234 0.318
CELL_PARAMETERS angstrom
-0.001 4.200 0.000
-6.334 2.102 0.062
-2.058 0.000 6.540
! DFT formation energy: -1.79 eV/atom
! M_tot: 0.0 μB per cell
! distance to the lowest polymorph of the same formula: 5.2 kJ per mole of atoms

Entry 3:
! PBE MgNb4N4O4, optimized geometry; values from VASP
&SYSTEM
  ibrav = 0, nat = 13, ntyp = 4
/
ATOMIC_SPECIES
Mg 24.30 Mg.upf
Nb 92.91 Nb.upf
N 14.01 N.upf
O 16.00 O.upf
ATOMIC_POSITIONS crystal
Mg 0.301 0.399 0.995
Nb 0.097 0.811 0.670
Nb 0.182 0.637 0.307
Nb 0.815 0.372 0.673
Nb 0.910 0.181 0.345
N 0.051 0.900 0.332
N 0.262 0.478 0.667
N 0.742 0.518 0.355
N 0.950 0.101 0.670
O 0.620 0.763 0.682
O 0.161 0.679 0.013
O 0.843 0.316 0.993
O 0.379 0.244 0.299
CELL_PARAMETERS angstrom
0.000 3.899 0.000
-7.026 1.950 0.018
-2.216 0.000 6.482
! DFT formation energy: -1.84 eV/atom
! M_tot: 0.0 μB per cell
! distance to the lowest polymorph of the same formula: 0.0 kJ per mole of atoms

Entry 4:
! PBE MgNb4N4O4, optimized geometry; values from VASP
&SYSTEM
  ibrav = 0, nat = 13, ntyp = 4
/
ATOMIC_SPECIES
Mg 24.30 Mg.upf
Nb 92.91 Nb.upf
N 14.01 N.upf
O 16.00 O.upf
ATOMIC_POSITIONS crystal
Mg 0.429 0.918 0.976
Nb 0.056 0.782 0.700
Nb 0.165 0.618 0.338
Nb 0.866 0.380 0.671
Nb 0.917 0.217 0.283
N 0.954 0.908 0.377
N 0.301 0.477 0.693
N 0.712 0.549 0.316
N 0.061 0.109 0.626
O 0.623 0.709 0.772
O 0.001 0.820 0.999
O 0.050 0.194 0.011
O 0.377 0.317 0.257
CELL_PARAMETERS angstrom
-0.243 3.937 -0.099
-6.800 2.415 0.140
-2.292 -0.018 6.300
! DFT formation energy: -1.78 eV/atom
! M_tot: 0.0 μB per cell
! distance to the lowest polymorph of the same formula: 6.2 kJ per mole of atoms

Entry 5:
! PBE MgNb2N2O2, optimized geometry; values from VASP
&SYSTEM
  ibrav = 0, nat = 7, ntyp = 4
/
ATOMIC_SPECIES
Mg 24.30 Mg.upf
Nb 92.91 Nb.upf
N 14.01 N.upf
O 16.00 O.upf
ATOMIC_POSITIONS crystal
Mg 0.297 0.596 0.205
Nb 0.027 0.055 0.943
Nb 0.740 0.483 0.757
N 0.976 0.954 0.539
N 0.246 0.493 0.752
O 0.768 0.537 0.232
O 0.513 0.028 0.006
CELL_PARAMETERS angstrom
0.000 4.335 -0.001
2.008 -2.168 4.667
4.105 0.000 -0.038
! DFT formation energy: -1.67 eV/atom
! M_tot: 0.0 μB per cell

Entry 6:
! PBE MgNb4N4O4, optimized geometry; values from VASP
&SYSTEM
  ibrav = 0, nat = 13, ntyp = 4
/
ATOMIC_SPECIES
Mg 24.30 Mg.upf
Nb 92.91 Nb.upf
N 14.01 N.upf
O 16.00 O.upf
ATOMIC_POSITIONS crystal
Mg 0.000 0.000 0.500
Nb 0.326 0.457 0.702
Nb 0.663 0.914 0.812
Nb 0.674 0.543 0.298
Nb 0.337 0.086 0.188
N 0.410 0.750 0.985
N 0.604 0.228 0.520
N 0.590 0.250 0.015
N 0.396 0.772 0.480
O 0.081 0.307 0.352
O 0.881 0.788 0.159
O 0.919 0.693 0.648
O 0.119 0.212 0.841
CELL_PARAMETERS angstrom
-3.827 3.180 2.559
0.853 -1.595 4.817
4.401 2.981 -0.126
! DFT formation energy: -1.76 eV/atom
! M_tot: 0.0 μB per cell
! distance to the lowest polymorph of the same formula: 7.6 kJ per mole of atoms

Entry 7:
! PBE MgNb4N4O4, optimized geometry; values from VASP
&SYSTEM
  ibrav = 0, nat = 13, ntyp = 4
/
ATOMIC_SPECIES
Mg 24.30 Mg.upf
Nb 92.91 Nb.upf
N 14.01 N.upf
O 16.00 O.upf
ATOMIC_POSITIONS crystal
Mg 0.500 0.000 0.000
Nb 0.106 0.788 0.710
Nb 0.220 0.559 0.297
Nb 0.780 0.441 0.703
Nb 0.894 0.212 0.290
N 0.623 0.754 0.778
N 0.267 0.466 0.645
N 0.733 0.534 0.355
N 0.377 0.246 0.222
O 0.063 0.873 0.390
O 0.110 0.781 0.031
O 0.890 0.219 0.969
O 0.937 0.127 0.610
CELL_PARAMETERS angstrom
3.725 0.768 1.412
3.282 3.181 -4.561
-1.699 6.458 0.969
! DFT formation energy: -1.75 eV/atom
! M_tot: 0.0 μB per cell
! distance to the lowest polymorph of the same formula: 8.5 kJ per mole of atoms

Entry 8:
! PBE MgNb4N4O4, optimized geometry; values from VASP
&SYSTEM
  ibrav = 0, nat = 13, ntyp = 4
/
ATOMIC_SPECIES
Mg 24.30 Mg.upf
Nb 92.91 Nb.upf
N 14.01 N.upf
O 16.00 O.upf
ATOMIC_POSITIONS crystal
Mg 0.000 0.500 0.000
Nb 0.177 0.804 0.716
Nb 0.215 0.584 0.345
Nb 0.785 0.416 0.655
Nb 0.823 0.196 0.284
N 0.651 0.719 0.728
N 0.262 0.488 0.680
N 0.738 0.512 0.320
N 0.349 0.281 0.272
O 0.054 0.879 0.375
O 0.136 0.734 0.014
O 0.864 0.266 0.986
O 0.946 0.121 0.625
CELL_PARAMETERS angstrom
-0.125 4.193 0.007
-6.696 2.306 -0.121
-1.964 0.081 6.412
! DFT formation energy: -1.68 eV/atom
! M_tot: 0.0 μB per cell
! distance to the lowest polymorph of the same formula: 15.6 kJ per mole of atoms

Entry 9:
! PBE MgP3NO9, optimized geometry; values from VASP
&SYSTEM
  ibrav = 0, nat = 14, ntyp = 4
/
ATOMIC_SPECIES
Mg 24.30 Mg.upf
P 30.97 P.upf
N 14.01 N.upf
O 16.00 O.upf
ATOMIC_POSITIONS crystal
Mg 0.000 0.000 0.000
P 0.073 0.927 0.500
P 0.927 0.500 0.073
P 0.500 0.073 0.927
N 0.500 0.500 0.500
O 0.654 0.346 0.000
O 0.346 0.000 0.654
O 0.000 0.654 0.346
O 0.065 0.350 0.064
O 0.350 0.064 0.065
O 0.935 0.936 0.650
O 0.064 0.065 0.350
O 0.650 0.935 0.936
O 0.936 0.650 0.935
CELL_PARAMETERS angstrom
3.884 -5.202 0.000
3.884 5.202 0.000
-3.085 0.000 5.713
! DFT formation energy: -2.05 eV/atom
! M_tot: 2.1 μB per cell
! distance to the lowest polymorph of the same formula: 0.3 kJ per mole of atoms

Entry 10:
! PBE MgP3NO9, optimized geometry; values from VASP
&SYSTEM
  ibrav = 0, nat = 28, ntyp = 4
/
ATOMIC_SPECIES
Mg 24.30 Mg.upf
P 30.97 P.upf
N 14.01 N.upf
O 16.00 O.upf
ATOMIC_POSITIONS crystal
Mg 0.000 0.000 0.000
Mg 0.000 0.000 0.500
P 0.725 0.109 0.250
P 0.891 0.617 0.250
P 0.725 0.617 0.750
P 0.383 0.275 0.250
P 0.891 0.275 0.750
P 0.383 0.109 0.750
N 0.333 0.667 0.000
N 0.333 0.667 0.500
O 0.256 0.250 0.122
O 0.750 0.006 0.122
O 0.256 0.250 0.378
O 0.256 0.006 0.622
O 0.994 0.744 0.122
O 0.750 0.006 0.378
O 0.750 0.744 0.622
O 0.256 0.006 0.878
O 0.994 0.744 0.378
O 0.750 0.744 0.878
O 0.994 0.250 0.622
O 0.994 0.250 0.878
O 0.478 0.095 0.250
O 0.905 0.383 0.250
O 0.478 0.383 0.750
O 0.617 0.522 0.250
O 0.905 0.522 0.750
O 0.617 0.095 0.750
CELL_PARAMETERS angstrom
3.341 -5.787 0.000
3.341 5.787 0.000
0.000 0.000 9.968
! DFT formation energy: -2.04 eV/atom
! M_tot: 4.0 μB per cell
! distance to the lowest polymorph of the same formula: 0.7 kJ per mole of atoms

Entry 11:
! PBE MgP3NO9, optimized geometry; values from VASP
&SYSTEM
  ibrav = 0, nat = 56, ntyp = 4
/
ATOMIC_SPECIES
Mg 24.30 Mg.upf
P 30.97 P.upf
N 14.01 N.upf
O 16.00 O.upf
ATOMIC_POSITIONS crystal
Mg 0.750 0.992 0.286
Mg 0.750 0.492 0.214
Mg 0.250 0.008 0.714
Mg 0.250 0.508 0.786
P 0.955 0.241 0.846
P 0.545 0.741 0.654
P 0.455 0.759 0.154
P 0.045 0.259 0.346
P 0.045 0.759 0.154
P 0.455 0.259 0.346
P 0.545 0.241 0.846
P 0.955 0.741 0.654
P 0.750 0.208 0.050
P 0.750 0.708 0.450
P 0.250 0.792 0.950
P 0.250 0.292 0.550
N 0.750 0.607 0.915
N 0.750 0.107 0.585
N 0.250 0.393 0.085
N 0.250 0.893 0.415
O 0.921 0.177 0.967
O 0.579 0.677 0.533
O 0.421 0.823 0.033
O 0.079 0.323 0.467
O 0.079 0.823 0.033
O 0.421 0.323 0.467
O 0.579 0.177 0.967
O 0.921 0.677 0.533
O 0.750 0.272 0.803
O 0.750 0.772 0.697
O 0.250 0.728 0.197
O 0.250 0.228 0.303
O 0.054 0.377 0.853
O 0.446 0.877 0.647
O 0.554 0.623 0.147
O 0.946 0.123 0.353
O 0.946 0.623 0.147
O 0.554 0.123 0.353
O 0.446 0.377 0.853
O 0.054 0.877 0.647
O 0.041 0.131 0.776
O 0.459 0.631 0.724
O 0.541 0.869 0.224
O 0.959 0.369 0.276
O 0.959 0.869 0.224
O 0.541 0.369 0.276
O 0.459 0.131 0.776
O 0.041 0.631 0.724
O 0.750 0.359 0.079
O 0.750 0.859 0.421
O 0.250 0.641 0.921
O 0.250 0.141 0.579
O 0.750 0.100 0.137
O 0.750 0.600 0.363
O 0.250 0.900 0.863
O 0.250 0.400 0.637
CELL_PARAMETERS angstrom
-2.269 6.011 3.468
3.808 -3.287 8.187
10.501 5.507 -2.673
! DFT formation energy: -2.05 eV/atom
! M_tot: 8.0 μB per cell
! distance to the lowest polymorph of the same formula: 0.0 kJ per mole of atoms

Entry 12:
! PBE Sr2MgTi6N2O11, optimized geometry; values from VASP
&SYSTEM
  ibrav = 0, nat = 22, ntyp = 5
/
ATOMIC_SPECIES
Sr 87.62 Sr.upf
Mg 24.30 Mg.upf
Ti 47.87 Ti.upf
N 14.01 N.upf
O 16.00 O.upf
ATOMIC_POSITIONS crystal
Sr 0.527 0.943 0.733
Sr 0.442 0.113 0.230
Mg 0.711 0.574 0.963
Ti 0.120 0.756 0.117
Ti 0.165 0.667 0.426
Ti 0.240 0.516 0.744
Ti 0.764 0.468 0.255
Ti 0.825 0.346 0.572
Ti 0.889 0.219 0.917
N 0.231 0.536 0.250
N 0.832 0.333 0.086
O 0.059 0.877 0.301
O 0.129 0.738 0.633
O 0.178 0.640 0.928
O 0.625 0.746 0.113
O 0.690 0.617 0.444
O 0.757 0.483 0.767
O 0.299 0.399 0.556
O 0.372 0.253 0.865
O 0.868 0.260 0.381
O 0.931 0.136 0.682
O 0.003 0.990 0.991
CELL_PARAMETERS angstrom
-1.589 -1.959 2.998
0.399 4.974 6.023
-8.292 4.126 -1.697
! DFT formation energy: -3.01 eV/atom
! M_tot: 0.0 μB per cell
! distance to the lowest polymorph of the same formula: 2.5 kJ per mole of atoms

Entry 13:
! PBE Sr2MgTi6N2O11, optimized geometry; values from VASP
&SYSTEM
  ibrav = 0, nat = 22, ntyp = 5
/
ATOMIC_SPECIES
Sr 87.62 Sr.upf
Mg 24.30 Mg.upf
Ti 47.87 Ti.upf
N 14.01 N.upf
O 16.00 O.upf
ATOMIC_POSITIONS crystal
Sr 0.502 0.994 0.834
Sr 0.446 0.105 0.253
Mg 0.653 0.691 0.593
Ti 0.107 0.783 0.104
Ti 0.190 0.617 0.386
Ti 0.202 0.594 0.806
Ti 0.757 0.483 0.199
Ti 0.853 0.291 0.523
Ti 0.851 0.296 0.941
N 0.235 0.526 0.244
N 0.835 0.327 0.103
O 0.064 0.868 0.262
O 0.136 0.725 0.614
O 0.128 0.741 0.903
O 0.621 0.756 0.085
O 0.696 0.606 0.437
O 0.724 0.550 0.787
O 0.315 0.366 0.529
O 0.338 0.321 0.888
O 0.885 0.225 0.375
O 0.944 0.109 0.672
O 0.976 0.046 0.982
CELL_PARAMETERS angstrom
0.565 -2.151 -3.129
4.283 -6.193 2.677
-6.739 -7.401 3.869
! DFT formation energy: -3.00 eV/atom
! M_tot: 0.1 μB per cell
! distance to the lowest polymorph of the same formula: 3.4 kJ per mole of atoms

Entry 14:
! PBE Sr2MgTi6N2O11, optimized geometry; values from VASP
&SYSTEM
  ibrav = 0, nat = 22, ntyp = 5
/
ATOMIC_SPECIES
Sr 87.62 Sr.upf
Mg 24.30 Mg.upf
Ti 47.87 Ti.upf
N 14.01 N.upf
O 16.00 O.upf
ATOMIC_POSITIONS crystal
Sr 0.570 0.856 0.710
Sr 0.422 0.153 0.303
Mg 0.496 0.006 0.013
Ti 0.139 0.718 0.051
Ti 0.156 0.685 0.412
Ti 0.251 0.496 0.750
Ti 0.743 0.512 0.242
Ti 0.841 0.315 0.582
Ti 0.856 0.285 0.959
N 0.216 0.565 0.247
N 0.827 0.342 0.123
O 0.039 0.918 0.326
O 0.140 0.718 0.610
O 0.170 0.658 0.883
O 0.627 0.744 0.068
O 0.687 0.623 0.429
O 0.772 0.453 0.755
O 0.312 0.374 0.587
O 0.367 0.262 0.918
O 0.858 0.282 0.403
O 0.955 0.086 0.682
O 0.998 0.001 0.009
CELL_PARAMETERS angstrom
0.000 3.917 0.000
-7.639 1.959 0.433
-2.067 0.000 9.690
! DFT formation energy: -2.97 eV/atom
! M_tot: 0.0 μB per cell
! distance to the lowest polymorph of the same formula: 6.9 kJ per mole of atoms

Entry 15:
! PBE Sr2MgTi6N2O11, optimized geometry; values from VASP
&SYSTEM
  ibrav = 0, nat = 22, ntyp = 5
/
ATOMIC_SPECIES
Sr 87.62 Sr.upf
Mg 24.30 Mg.upf
Ti 47.87 Ti.upf
N 14.01 N.upf
O 16.00 O.upf
ATOMIC_POSITIONS crystal
Sr 0.547 0.904 0.799
Sr 0.459 0.079 0.280
Mg 0.284 0.428 0.038
Ti 0.112 0.773 0.111
Ti 0.173 0.651 0.415
Ti 0.225 0.547 0.739
Ti 0.763 0.471 0.256
Ti 0.834 0.328 0.576
Ti 0.883 0.231 0.913
N 0.233 0.532 0.229
N 0.835 0.326 0.087
O 0.060 0.876 0.298
O 0.125 0.747 0.616
O 0.171 0.655 0.908
O 0.615 0.766 0.111
O 0.697 0.604 0.435
O 0.760 0.478 0.747
O 0.299 0.400 0.566
O 0.359 0.278 0.877
O 0.871 0.256 0.389
O 0.935 0.128 0.692
O 0.001 0.995 0.973
CELL_PARAMETERS angstrom
0.000 3.867 0.000
-7.690 1.934 -0.094
-1.409 0.000 9.374
! DFT formation energy: -3.04 eV/atom
! M_tot: 0.7 μB per cell
! distance to the lowest polymorph of the same formula: 0.0 kJ per mole of atoms

Entry 16:
! PBE Sr2MgTi6N2O11, optimized geometry; values from VASP
&SYSTEM
  ibrav = 0, nat = 22, ntyp = 5
/
ATOMIC_SPECIES
Sr 87.62 Sr.upf
Mg 24.30 Mg.upf
Ti 47.87 Ti.upf
N 14.01 N.upf
O 16.00 O.upf
ATOMIC_POSITIONS crystal
Sr 0.412 0.858 0.591
Sr 0.498 0.094 0.228
Mg 0.630 0.072 0.824
Ti 0.082 0.776 0.065
Ti 0.202 0.614 0.420
Ti 0.138 0.567 0.807
Ti 0.755 0.523 0.221
Ti 0.975 0.289 0.558
Ti 0.838 0.303 0.956
N 0.226 0.564 0.234
N 0.847 0.340 0.126
O 0.083 0.856 0.355
O 0.063 0.675 0.614
O 0.994 0.773 0.877
O 0.578 0.773 0.098
O 0.750 0.550 0.430
O 0.662 0.542 0.804
O 0.429 0.339 0.571
O 0.337 0.302 0.897
O 0.094 0.171 0.431
O 0.120 0.099 0.727
O 0.911 0.039 0.018
CELL_PARAMETERS angstrom
0.463 -2.645 2.852
6.802 1.567 4.374
-2.745 6.804 6.771
! DFT formation energy: -2.96 eV/atom
! M_tot: 0.0 μB per cell
! distance to the lowest polymorph of the same formula: 7.9 kJ per mole of atoms